# 1
Hf2TcOs | the Materials Project | meta-GGA r2SCAN | optimized geometry; space group = Fm-3m, No. 225; V = 68 Å³ per cell; electronic total energy = -43.0312 eV/atom
1.0
0.0000 3.2396 3.2396
3.2396 0.0000 3.2396
3.2396 3.2396 0.0000
Tc Hf Os
1 2 1
Direct
0.7500 0.7500 0.7500
0.0000 0.0000 0.0000
0.5000 0.5000 0.5000
0.2500 0.2500 0.2500

=====

# 2
Na3InS3 | the Materials Project | meta-GGA r2SCAN | optimized geometry; space group = C2/c, No. 15; V = 699 Å³ per cell; electronic total energy = -9.3755 eV/atom
1.0
6.7232 7.9719 0.0176
-6.7232 7.9719 0.0176
0.0000 3.4004 6.5272
Na S In
12 12 4
Direct
0.0101 0.1729 0.4548
0.4385 0.5615 0.7500
0.2776 0.7224 0.2500
0.7701 0.6372 0.4097
0.3628 0.2299 0.0903
0.8271 0.9899 0.0452
0.1729 0.0101 0.9548
0.9899 0.8271 0.5452
0.6372 0.7701 0.9097
0.5615 0.4385 0.2500
0.2299 0.3628 0.5903
0.7224 0.2776 0.7500
0.2950 0.4724 0.1735
0.9953 0.2172 0.8161
0.5276 0.7050 0.3265
0.8850 0.4128 0.2648
0.1150 0.5872 0.7352
0.7050 0.5276 0.8265
0.2172 0.9953 0.3161
0.0047 0.7828 0.1839
0.7828 0.0047 0.6839
0.4128 0.8850 0.7648
0.4724 0.2950 0.6735
0.5872 0.1150 0.2352
0.9165 0.4284 0.9027
0.5716 0.0835 0.5973
0.4284 0.9165 0.4027
0.0835 0.5716 0.0973

=====

# 3
Na3CoO3 | the Materials Project | meta-GGA r2SCAN | optimized geometry; space group = P2_1/c, No. 14; V = 420 Å³ per cell; electronic total energy = -7.4699 eV/atom
1.0
-3.3641 -6.8903 -7.7398
2.9611 1.1300 -2.2930
7.1821 -6.4984 2.6634
O Co Na
12 4 12
Direct
0.6593 0.6381 0.2848
0.5928 0.7709 0.8975
0.1593 0.3619 0.2152
0.9072 0.7709 0.3975
0.4072 0.2291 0.1025
0.1376 0.0321 0.9118
0.8407 0.6381 0.7848
0.3624 0.0321 0.4118
0.0928 0.2291 0.6025
0.8624 0.9679 0.0882
0.6376 0.9679 0.5882
0.3407 0.3619 0.7152
0.1908 0.1885 0.7454
0.6908 0.8115 0.7546
0.3092 0.1885 0.2454
0.8092 0.8115 0.2546
0.4306 0.9014 0.6350
0.2695 0.5036 0.4808
0.0153 0.2778 0.3842
0.2305 0.5036 0.9808
0.5694 0.0986 0.3650
0.5153 0.7222 0.1158
0.4847 0.2778 0.8842
0.0694 0.9014 0.1350
0.9306 0.0986 0.8650
0.9847 0.7222 0.6158
0.7305 0.4964 0.5192
0.7695 0.4964 0.0192

=====

# 4
K2NaAlAs2 | the Materials Project | meta-GGA r2SCAN | optimized geometry; space group = Ibam, No. 72; V = 326 Å³ per cell; electronic total energy = -9.3545 eV/atom
1.0
-3.2310 3.3775 7.4689
3.2310 -3.3775 7.4689
3.2310 3.3775 -7.4689
K Al As Na
4 2 4 2
Direct
0.5659 0.8250 0.7409
0.4341 0.1750 0.2591
0.9159 0.6750 0.2409
0.0841 0.3250 0.7591
0.0000 0.7500 0.7500
0.0000 0.2500 0.2500
0.7049 0.4062 0.2986
0.2951 0.5938 0.7014
0.1076 0.9062 0.2014
0.8924 0.0938 0.7986
0.5000 0.7500 0.2500
0.5000 0.2500 0.7500

=====

# 5
HoAlGa | the Materials Project | meta-GGA r2SCAN | optimized geometry; space group = P-6m2, No. 187; V = 60 Å³ per cell; electronic total energy = -17.6656 eV/atom
1.0
2.2065 -3.8218 0.0000
2.2065 3.8218 0.0000
0.0000 0.0000 3.5390
Al Ga Ho
1 1 1
Direct
0.0000 0.0000 0.5000
0.3333 0.6667 0.5000
0.6667 0.3333 0.0000

=====

# 6
Al2Te5 | the Materials Project | meta-GGA r2SCAN | optimized geometry; space group = C2/m, No. 12; V = 240 Å³ per cell; electronic total energy = -20.4806 eV/atom
1.0
4.0518 0.0000 1.0636
1.8355 7.0041 1.2572
-0.0518 -0.0553 8.4469
Te Al
5 2
Direct
0.1815 0.2370 0.4001
0.8185 0.7630 0.5999
0.5815 0.7108 0.1263
0.4185 0.2892 0.8737
0.0000 0.0000 0.0000
0.3705 0.8571 0.4019
0.6295 0.1429 0.5981

=====

# 7
LiLaAu2 | the Materials Project | meta-GGA r2SCAN | optimized geometry; space group = Fm-3m, No. 225; V = 91 Å³ per cell; electronic total energy = -34.0381 eV/atom
1.0
-0.7895 -3.0580 3.9297
-1.2711 1.9302 4.4806
-4.6677 -0.6485 1.7915
Li Au La
1 2 1
Direct
0.0000 0.0000 0.0000
0.7500 0.7500 0.7500
0.2500 0.2500 0.2500
0.5000 0.5000 0.5000

=====

# 8
Li2SnPb | the Materials Project | meta-GGA r2SCAN | optimized geometry; space group = Fm-3m, No. 225; V = 85 Å³ per cell; electronic total energy = -21.7771 eV/atom
1.0
-3.1437 -3.5526 -1.3372
-4.3346 -0.4497 2.3022
-4.1723 1.1591 -2.3536
Li Pb Sn
2 1 1
Direct
0.2500 0.2500 0.2500
0.7500 0.7500 0.7500
0.5000 0.5000 0.5000
0.0000 0.0000 0.0000

=====

# 9
V3Ir | the Materials Project | meta-GGA r2SCAN | optimized geometry; space group = Pm-3n, No. 223; V = 108 Å³ per cell; electronic total energy = -24.2155 eV/atom
1.0
-1.3446 3.4932 -2.9450
-4.4959 -1.5585 0.2040
-0.8140 2.8376 3.7375
V Ir
6 2
Direct
0.5000 0.2500 0.0000
0.0000 0.5000 0.7500
0.0000 0.5000 0.2500
0.7500 0.0000 0.5000
0.5000 0.7500 0.0000
0.2500 0.0000 0.5000
0.5000 0.5000 0.5000
0.0000 0.0000 0.0000

=====

# 10
KY2F7 | the Materials Project | meta-GGA r2SCAN | optimized geometry; space group = C2/m, No. 12; V = 556 Å³ per cell; electronic total energy = -11.0610 eV/atom
1.0
0.0350 -1.7025 -8.0064
5.7264 -4.8137 -3.3225
-2.8153 -10.9498 -3.8525
F K Y
28 4 8
Direct
0.1314 0.6630 0.9170
0.6630 0.1314 0.9170
0.8686 0.3370 0.0830
0.1132 0.1132 0.6180
0.6455 0.1192 0.2374
0.1757 0.8243 0.5000
0.1543 0.4971 0.7408
0.5046 0.1685 0.5007
0.4955 0.4955 0.7361
0.1053 0.1053 0.9128
0.8947 0.8947 0.0872
0.1192 0.6455 0.2374
0.3370 0.8686 0.0830
0.8868 0.8868 0.3820
0.8243 0.1757 0.5000
0.4954 0.8315 0.4993
0.3545 0.8808 0.7626
0.1054 0.1054 0.2483
0.8808 0.3545 0.7626
0.5045 0.5045 0.2639
0.5029 0.8457 0.2592
0.1685 0.5046 0.5007
0.8946 0.8946 0.7517
0.6059 0.6059 0.9257
0.8315 0.4954 0.4993
0.8457 0.5029 0.2592
0.4971 0.1543 0.7408
0.3941 0.3941 0.0743
0.7369 0.7369 0.0211
0.7674 0.7674 0.6527
0.2631 0.2631 0.9789
0.2326 0.2326 0.3473
0.2593 0.7407 0.0000
0.2391 0.7654 0.3180
0.7596 0.7596 0.3212
0.7654 0.2391 0.3180
0.7609 0.2346 0.6820
0.7407 0.2593 0.0000
0.2346 0.7609 0.6820
0.2404 0.2404 0.6788

=====

# 11
MnCrB2 | the Materials Project | meta-GGA r2SCAN | optimized geometry; space group = Amm2, No. 38; V = 34 Å³ per cell; electronic total energy = -11.5639 eV/atom
1.0
1.4843 -3.8741 0.0000
1.4843 3.8741 0.0000
0.0000 0.0000 2.9312
B Mn Cr
2 1 1
Direct
0.5679 0.4321 0.0000
0.4338 0.5662 0.5000
0.8554 0.1446 0.0000
0.1429 0.8571 0.5000

=====

# 12
Dy2Al9Rh3 | the Materials Project | meta-GGA r2SCAN | optimized geometry; space group = Cmcm, No. 63; V = 461 Å³ per cell; electronic total energy = -14.9741 eV/atom
1.0
-6.9961 -1.5415 2.2015
5.6516 -0.8897 4.8411
-1.0585 8.9067 2.8726
Rh Al Dy
6 18 4
Direct
0.6724 0.3276 0.5000
0.3276 0.6724 0.5000
0.0000 0.0000 0.0000
0.0000 0.0000 0.5000
0.6724 0.3276 0.0000
0.3276 0.6724 0.0000
0.1299 0.1299 0.7500
0.3336 0.3336 0.0481
0.6664 0.6664 0.9519
0.3336 0.3336 0.4519
0.4505 0.6601 0.2500
0.3399 0.5495 0.7500
0.5495 0.3399 0.7500
0.6664 0.6664 0.5481
0.6643 0.9984 0.4259
0.9984 0.6643 0.0741
0.6601 0.4505 0.2500
0.0016 0.3357 0.5741
0.3357 0.0016 0.5741
0.3357 0.0016 0.9259
0.9984 0.6643 0.4259
0.0016 0.3357 0.9259
0.8701 0.8701 0.2500
0.6643 0.9984 0.0741
0.6721 0.9944 0.7500
0.9944 0.6721 0.7500
0.0056 0.3279 0.2500
0.3279 0.0056 0.2500